Below is crystalline Li2Si4Ni5O14 at its relaxed geometry, with properties calculated at the PBE+U level.

Crystal system: triclinic
Offset from the most stable computed form: 0.09 eV per formula unit
Total magnetic moment: 0.08 μB/atom

Cell: 5.3853 7.3969 7.9472 Å, 114.21 91.19 104.31°
Space group P-1 (No. 2)
Symmetry-distinct sites (fractional):
Li1 0.2302 0.1008 0.4547 [2 per cell]
Si1 0.2043 0.7849 0.6060 [2 per cell]
Si2 0.4900 0.7796 0.1362 [2 per cell]
Ni1 0.0000 0.0000 0.0000 [1 per cell]
Ni2 0.0845 0.4087 0.8095 [2 per cell]
Ni3 0.3679 0.4135 0.2957 [2 per cell]
O1 0.0336 0.1867 0.2675 [2 per cell]
O2 0.1076 0.8109 0.4239 [2 per cell]
O3 0.1864 0.6745 0.0403 [2 per cell]
O4 0.2999 0.5795 0.5666 [2 per cell]
O5 0.3221 0.2197 0.0222 [2 per cell]
O6 0.4166 0.3352 0.7437 [2 per cell]
O7 0.4745 0.9763 0.7148 [2 per cell]